Below is crystalline KInTe2 at its relaxed geometry, with properties calculated at the PBE level.

Results
VASP energy	-3.23	eV/atom
calculated density	4.728	g cm⁻³
ΔE_f	-88	kJ per mole of atoms

abc: 8.794 8.794 7.432
angles: 90.00 90.00 90.00
Space group I4/mcm (No. 140)
One atom of each set of equivalent atoms:
K  0.000  0.000  0.250 x4
In  0.000  0.500  0.250 x4
Te  0.175  0.325  0.000 x8

=====

Below is crystalline KAsF6 at its relaxed geometry, with properties calculated at the PBE level.

Results
VASP energy	-4.55	eV/atom
calculated density	3.077	g cm⁻³
ΔE_f	-265	kJ per mole of atoms

abc: 7.5825 7.5825 7.4144
angles: 90.00 90.00 120.00
Space group R-3 (No. 148, hexagonal axes)
One atom of each set of equivalent atoms:
K  0.0000  0.0000  0.0000 x3
As  0.0000  0.0000  0.5000 x3
F  0.0880  0.2177  0.6403 x18

=====

Below is crystalline ErGa3 at its relaxed geometry, with properties calculated at the PBE level.

Results
VASP energy	-3.94	eV/atom
calculated density	8.114	g cm⁻³
ΔE_f	-51	kJ per mole of atoms

abc: 4.255 4.255 4.255
angles: 90.00 90.00 90.00
Space group Pm-3m (No. 221)
One atom of each set of equivalent atoms:
Er  0.000  0.000  0.000 x1
Ga  0.000  0.500  0.500 x3

=====

Below is crystalline RbYMg14 at its relaxed geometry, with properties calculated at the PBE level.

Results
energy above the lowest structure with this stoichiometry	0.000	eV/atom
VASP energy	-1.75	eV/atom
calculated density	2.066	g cm⁻³
ΔE_f	11	kJ per mole of atoms

abc: 6.7368 6.7368 10.5228
angles: 90.00 90.00 120.00
Space group P-6m2 (No. 187)
One atom of each set of equivalent atoms:
Rb  0.0000  0.0000  0.0000 x1
Y  0.0000  0.0000  0.5000 x1
Mg  0.0046  0.5023  0.0000 x3
Mg  0.0064  0.5032  0.5000 x3
Mg  0.1733  0.3465  0.2577 x6
Mg  0.6667  0.3333  0.2493 x2